Record 1
First-principles (PBE+U) data for an optimized crystal structure of FeH2O2, as listed in the Materials Project database.

Calculated values
Electronic total energy (eV/cell): -113.3
ΔH_f (0 K) (kJ/mol of atoms): -131.3

```
FeH2O2
1.0
7.333 0.000 0.000
0.000 3.323 0.000
-1.530 0.000 7.235
Fe H O
4 8 8
Direct
0.125 0.250 0.375 Fe
0.375 0.750 0.125 Fe
0.625 0.250 0.875 Fe
0.875 0.750 0.625 Fe
0.007 0.250 0.924 H
0.243 0.250 0.824 H
0.258 0.750 0.675 H
0.493 0.750 0.574 H
0.507 0.250 0.426 H
0.742 0.250 0.325 H
0.757 0.750 0.176 H
0.993 0.750 0.076 H
0.098 0.750 0.181 O
0.153 0.750 0.570 O
0.347 0.250 0.930 O
0.403 0.250 0.320 O
0.597 0.750 0.680 O
0.653 0.750 0.070 O
0.847 0.250 0.430 O
0.902 0.250 0.819 O
```


Record 2
First-principles (PBE+U) data for an optimized crystal structure of Li4Mn3VO8, as listed in the Materials Project database.

Calculated values
Electronic total energy (eV/cell): -105.3
Spin magnetization (μB per atom): 0.875
ΔH_f (0 K) (kJ/mol of atoms): -203.6

```
Li4Mn3VO8
1.0
5.936 0.000 0.000
-0.044 5.955 0.000
-2.860 -2.980 4.350
Li Mn V O
4 3 1 8
Direct
0.000 0.000 0.000 Li
0.000 0.500 0.000 Li
0.500 0.000 0.500 Li
0.500 0.500 0.500 Li
0.000 0.000 0.500 Mn
0.000 0.500 0.500 Mn
0.500 0.000 0.000 Mn
0.500 0.500 0.000 V
0.228 0.245 0.509 O
0.240 0.755 0.963 O
0.253 0.714 0.518 O
0.287 0.227 0.020 O
0.713 0.773 0.980 O
0.747 0.286 0.482 O
0.760 0.245 0.037 O
0.772 0.755 0.491 O
```


Record 3
First-principles (PBE+U) data for an optimized crystal structure of Li2TiFeP3O12, as listed in the Materials Project database.

Calculated values
Electronic total energy (eV/cell): -550.7
Spin magnetization (μB per atom): 0.263
ΔH_f (0 K) (kJ/mol of atoms): -266.0

```
Li2TiFeP3O12
1.0
8.742 0.000 0.000
0.000 8.661 0.000
0.000 0.000 12.120
Li Ti Fe P O
8 4 4 12 48
Direct
0.218 0.035 0.000 Li
0.223 0.533 0.865 Li
0.277 0.033 0.365 Li
0.282 0.535 0.500 Li
0.718 0.465 0.000 Li
0.723 0.967 0.865 Li
0.777 0.467 0.365 Li
0.782 0.965 0.500 Li
0.037 0.503 0.073 Ti
0.463 0.003 0.573 Ti
0.537 0.997 0.073 Ti
0.963 0.497 0.573 Ti
0.037 0.002 0.795 Fe
0.463 0.502 0.295 Fe
0.537 0.498 0.795 Fe
0.963 0.998 0.295 Fe
0.107 0.854 0.537 P
0.109 0.355 0.331 P
0.248 0.289 0.684 P
0.252 0.789 0.184 P
0.391 0.855 0.831 P
0.393 0.354 0.037 P
0.607 0.646 0.537 P
0.609 0.145 0.331 P
0.748 0.211 0.684 P
0.752 0.711 0.184 P
0.891 0.645 0.831 P
0.893 0.146 0.037 P
0.008 0.077 0.955 O
0.012 0.575 0.911 O
0.064 0.410 0.212 O
0.065 0.902 0.654 O
0.105 0.674 0.528 O
0.108 0.178 0.338 O
0.139 0.191 0.751 O
0.141 0.687 0.115 O
0.161 0.395 0.601 O
0.166 0.898 0.262 O
0.227 0.411 0.008 O
0.232 0.915 0.862 O
0.268 0.415 0.362 O
0.273 0.911 0.508 O
0.334 0.398 0.762 O
0.339 0.895 0.101 O
0.359 0.187 0.615 O
0.361 0.691 0.251 O
0.392 0.678 0.838 O
0.395 0.174 0.028 O
0.435 0.402 0.154 O
0.436 0.910 0.712 O
0.488 0.075 0.411 O
0.492 0.577 0.455 O
0.508 0.423 0.955 O
0.512 0.925 0.911 O
0.564 0.090 0.212 O
0.565 0.598 0.654 O
0.605 0.826 0.528 O
0.608 0.322 0.338 O
0.639 0.309 0.751 O
0.641 0.813 0.115 O
0.661 0.105 0.601 O
0.666 0.602 0.262 O
0.727 0.089 0.008 O
0.732 0.585 0.862 O
0.768 0.085 0.362 O
0.773 0.589 0.508 O
0.834 0.102 0.762 O
0.839 0.605 0.101 O
0.859 0.313 0.615 O
0.861 0.809 0.251 O
0.892 0.822 0.838 O
0.895 0.326 0.028 O
0.935 0.098 0.154 O
0.936 0.590 0.712 O
0.988 0.425 0.411 O
0.992 0.923 0.455 O
```


Record 4
First-principles (PBE+U) data for an optimized crystal structure of KMgInMo3O12, as listed in the Materials Project database.

Calculated values
Electronic total energy (eV/cell): -238.3
Spin magnetization (μB per atom): 0.000
ΔH_f (0 K) (kJ/mol of atoms): -212.5

```
KMgInMo3O12
1.0
8.382 -4.832 0.000
8.382 4.832 0.000
-5.572 0.000 8.293
K Mg In Mo O
2 2 2 6 24
Direct
0.248 0.248 0.245 K
0.752 0.752 0.755 K
0.096 0.116 0.818 Mg
0.884 0.904 0.182 Mg
0.383 0.404 0.680 In
0.596 0.617 0.320 In
0.199 0.801 0.000 Mo
0.269 0.731 0.500 Mo
0.491 0.222 0.003 Mo
0.709 0.008 0.499 Mo
0.778 0.509 0.997 Mo
0.992 0.291 0.501 Mo
0.016 0.829 0.025 O
0.027 0.260 0.677 O
0.094 0.762 0.326 O
0.170 0.323 0.517 O
0.171 0.984 0.975 O
0.232 0.622 0.823 O
0.238 0.906 0.674 O
0.299 0.539 0.518 O
0.311 0.193 0.977 O
0.378 0.768 0.177 O
0.461 0.701 0.482 O
0.464 0.255 0.827 O
0.517 0.402 0.180 O
0.520 0.192 0.519 O
0.598 0.483 0.820 O
0.672 0.039 0.029 O
0.677 0.830 0.483 O
0.740 0.973 0.323 O
0.745 0.536 0.173 O
0.807 0.689 0.023 O
0.808 0.480 0.481 O
0.886 0.038 0.670 O
0.961 0.328 0.971 O
0.962 0.114 0.330 O
```


Record 5
First-principles (PBE+U) data for an optimized crystal structure of V4O3F9, as listed in the Materials Project database.

Calculated values
Electronic total energy (eV/cell): -102.4
ΔH_f (0 K) (kJ/mol of atoms): -283.4

```
V4O3F9
1.0
4.671 -2.631 0.000
4.671 2.631 0.000
-2.463 0.000 8.553
V O F
4 3 9
Direct
0.120 0.120 0.379 V
0.379 0.352 0.134 V
0.648 0.621 0.866 V
0.880 0.880 0.621 V
0.343 0.163 0.247 O
0.837 0.657 0.753 O
0.919 0.081 0.500 O
0.306 0.690 0.703 F
0.310 0.694 0.297 F
0.415 0.585 0.000 F
0.451 0.046 0.949 F
0.455 0.047 0.551 F
0.803 0.197 0.196 F
0.803 0.197 0.804 F
0.953 0.545 0.449 F
0.954 0.549 0.051 F
```


Record 6
First-principles (PBE+U) data for an optimized crystal structure of ScV2O2, as listed in the Materials Project database.

Calculated values
Electronic total energy (eV/cell): -141.7
Spin magnetization (μB per atom): 1.206
ΔH_f (0 K) (kJ/mol of atoms): -111.9

```
ScV2O2
1.0
-4.439 4.439 4.333
4.439 -4.439 4.333
4.439 4.439 -4.333
Sc V O
4 8 8
Direct
0.000 0.000 0.000 Sc
0.000 0.000 0.500 Sc
0.000 0.500 0.000 Sc
0.500 0.000 0.500 Sc
0.068 0.642 0.426 V
0.284 0.358 0.926 V
0.358 0.284 0.426 V
0.358 0.932 0.074 V
0.642 0.068 0.926 V
0.642 0.716 0.574 V
0.716 0.642 0.074 V
0.932 0.358 0.574 V
0.205 0.308 0.602 O
0.205 0.603 0.898 O
0.308 0.205 0.102 O
0.397 0.795 0.602 O
0.603 0.205 0.398 O
0.692 0.795 0.898 O
0.795 0.397 0.102 O
0.795 0.692 0.398 O
```